No. 1
A relaxed LiMn2P3O12 crystal. Source: the Materials Project, functional PBE+U.

```
LiMn2P3O12
1.0
8.184 0.000 0.000
4.090 7.175 0.000
4.080 2.407 7.372
O Mn P Li
24 4 6 2
Direct
0.887 0.259 0.738
0.499 0.175 0.794
0.893 0.100 0.265
0.214 0.515 0.100
0.626 0.000 0.573
0.017 0.796 0.564
0.983 0.204 0.436
0.803 0.618 0.565
0.466 0.840 0.914
0.786 0.485 0.900
0.501 0.825 0.206
0.741 0.878 0.268
0.374 0.000 0.427
0.534 0.491 0.796
0.170 0.210 0.102
0.830 0.790 0.898
0.179 0.537 0.797
0.534 0.160 0.086
0.259 0.122 0.732
0.107 0.900 0.735
0.466 0.509 0.204
0.113 0.741 0.262
0.197 0.382 0.435
0.821 0.463 0.203
0.651 0.646 0.052
0.349 0.354 0.948
0.858 0.853 0.430
0.142 0.147 0.570
0.963 0.251 0.252
0.533 0.966 0.251
0.037 0.749 0.748
0.252 0.531 0.249
0.748 0.469 0.751
0.467 0.034 0.749
0.752 0.072 0.867
0.248 0.928 0.133
```

Calculated volume = 432.8 Å³/cell
Space group = P-1 (2)
Energy above the lowest structure with this stoichiometry = 0.00 eV/f.u.
Formation enthalpy at 0 K = -2.373 eV per atom
E (MP2020) = -7.698 eV/atom

---

No. 2
A relaxed LiMnP2O7 crystal. Source: the Materials Project, functional PBE+U.

```
LiMnP2O7
1.0
-4.007 -6.152 6.398
-1.302 -6.435 -7.208
10.123 -2.649 3.787
P Mn O Li
16 8 56 8
Direct
0.851 0.127 0.432
0.715 0.889 0.115
0.356 0.382 0.574
0.286 0.115 0.882
0.576 0.435 0.759
0.071 0.066 0.245
0.791 0.379 0.115
0.426 0.565 0.240
0.446 0.976 0.247
0.208 0.616 0.885
0.061 0.469 0.241
0.943 0.523 0.749
0.653 0.625 0.420
0.144 0.877 0.573
0.925 0.930 0.759
0.554 0.025 0.757
0.721 0.770 0.834
0.789 0.258 0.829
0.930 0.805 0.334
0.074 0.200 0.672
0.278 0.226 0.169
0.427 0.703 0.678
0.216 0.734 0.170
0.573 0.305 0.327
0.670 0.318 0.177
0.952 0.371 0.784
0.080 0.067 0.110
0.712 0.188 0.417
0.341 0.222 0.998
0.063 0.791 0.464
0.593 0.580 0.729
0.912 0.396 0.216
0.745 0.025 0.083
0.153 0.034 0.570
0.837 0.976 0.448
0.319 0.675 0.303
0.287 0.820 0.587
0.831 0.816 0.177
0.254 0.975 0.906
0.768 0.523 0.089
0.656 0.112 0.848
0.567 0.435 0.895
0.233 0.480 0.919
0.158 0.376 0.148
0.182 0.173 0.310
0.064 0.864 0.697
0.850 0.612 0.851
0.450 0.127 0.216
0.583 0.017 0.623
0.592 0.901 0.214
0.446 0.295 0.472
0.053 0.615 0.198
0.926 0.124 0.301
0.328 0.685 0.830
0.428 0.981 0.382
0.661 0.473 0.429
0.429 0.566 0.105
0.912 0.078 0.734
0.410 0.099 0.782
0.665 0.770 0.003
0.572 0.630 0.294
0.144 0.725 0.999
0.925 0.913 0.890
0.092 0.595 0.780
0.352 0.539 0.571
0.213 0.323 0.583
0.683 0.324 0.699
0.544 0.872 0.785
0.568 0.720 0.522
0.091 0.483 0.373
0.341 0.887 0.157
0.841 0.275 0.000
0.805 0.834 0.694
0.431 0.369 0.701
0.915 0.518 0.618
0.947 0.217 0.529
0.408 0.421 0.272
0.175 0.188 0.819
0.082 0.916 0.273
0.791 0.694 0.407
0.572 0.167 0.539
0.390 0.407 0.972
0.605 0.588 0.030
0.909 0.649 0.045
0.413 0.825 0.454
0.098 0.915 0.975
0.064 0.362 0.477
0.719 0.880 0.549
```

Calculated volume = 1031.5 Å³/cell
Space group = P1 (1)
Energy above the lowest structure with this stoichiometry = 0.74 eV/f.u.
Formation enthalpy at 0 K = -2.498 eV per atom
E (MP2020) = -7.638 eV/atom

---

No. 3
A relaxed LiMn2P2O8 crystal. Source: the Materials Project, functional PBE+U.

```
LiMn2P2O8
1.0
-9.093 0.000 0.000
-0.698 -9.105 0.000
4.083 3.786 10.840
O Mn P Li
48 12 12 6
Direct
0.237 0.797 0.064
0.308 0.501 0.775
0.748 0.555 0.028
0.036 0.366 0.035
0.512 0.251 0.982
0.964 0.634 0.965
0.050 0.485 0.316
0.056 0.069 0.880
0.692 0.499 0.225
0.739 0.302 0.565
0.807 0.997 0.281
0.386 0.721 0.713
0.159 0.532 0.569
0.763 0.203 0.936
0.263 0.925 0.313
0.334 0.979 0.932
0.997 0.735 0.272
0.451 0.014 0.182
0.841 0.468 0.431
0.737 0.075 0.687
0.252 0.445 0.972
0.003 0.265 0.728
0.505 0.764 0.224
0.220 0.595 0.180
0.752 0.938 0.473
0.780 0.405 0.820
0.319 0.325 0.146
0.944 0.931 0.120
0.681 0.675 0.854
0.950 0.515 0.684
0.666 0.021 0.068
0.261 0.698 0.435
0.991 0.249 0.523
0.560 0.551 0.393
0.495 0.236 0.776
0.009 0.751 0.477
0.886 0.211 0.217
0.488 0.749 0.018
0.114 0.789 0.783
0.537 0.862 0.540
0.804 0.784 0.623
0.463 0.138 0.460
0.196 0.216 0.377
0.248 0.062 0.527
0.440 0.449 0.607
0.193 0.003 0.719
0.549 0.986 0.818
0.614 0.279 0.287
0.859 0.386 0.124
0.475 0.160 0.096
0.016 0.336 0.401
0.086 0.772 0.152
0.984 0.664 0.599
0.525 0.840 0.904
0.914 0.228 0.848
0.643 0.103 0.375
0.585 0.270 0.652
0.357 0.897 0.625
0.141 0.614 0.876
0.415 0.730 0.348
0.828 0.039 0.174
0.207 0.428 0.078
0.415 0.835 0.122
0.793 0.572 0.922
0.327 0.548 0.670
0.585 0.165 0.878
0.083 0.665 0.375
0.172 0.961 0.826
0.917 0.335 0.625
0.673 0.452 0.330
0.711 0.918 0.580
0.289 0.082 0.420
0.000 0.000 0.500
0.648 0.625 0.641
0.352 0.375 0.359
0.251 0.251 0.752
0.500 0.500 0.000
0.749 0.749 0.248
```

Calculated volume = 897.5 Å³/cell
Space group = P-1 (2)
Energy above the lowest structure with this stoichiometry = 0.21 eV/f.u.
Formation enthalpy at 0 K = -2.522 eV per atom
E (MP2020) = -7.956 eV/atom

---

No. 4
A relaxed LiMnPO4 crystal. Source: the Materials Project, functional PBE+U.

```
LiMnPO4
1.0
2.615 -3.316 -2.553
2.691 -2.847 6.453
-3.798 -3.146 0.196
O P Li Mn
8 2 2 2
Direct
0.322 0.133 0.189
0.189 0.867 0.678
0.811 0.867 0.322
0.689 0.367 0.178
0.822 0.633 0.689
0.311 0.367 0.822
0.178 0.633 0.311
0.678 0.133 0.811
0.000 0.750 0.500
0.500 0.250 0.000
0.000 0.500 0.000
0.500 0.000 0.500
0.500 0.500 0.500
0.000 0.000 0.000
```

Largest piezoelectric modulus = 0.54 C/m2
Calculated volume = 183.9 Å³/cell
Energy above the lowest structure with this stoichiometry = 0.14 eV/f.u.
Formation enthalpy at 0 K = -2.614 eV per atom
E (MP2020) = -7.797 eV/atom

---

No. 5
A relaxed LiMn2P3O12 crystal. Source: the Materials Project, functional PBE+U.

```
LiMn2P3O12
1.0
2.604 3.948 0.000
-2.604 3.948 0.000
0.000 0.681 19.290
O Mn P Li
24 4 6 2
Direct
0.224 0.707 0.739
0.710 0.225 0.072
0.760 0.760 0.519
0.740 0.740 0.852
0.290 0.775 0.928
0.768 0.768 0.318
0.765 0.765 0.985
0.235 0.235 0.015
0.225 0.710 0.072
0.783 0.294 0.588
0.293 0.776 0.261
0.232 0.232 0.682
0.776 0.293 0.261
0.294 0.783 0.588
0.217 0.706 0.412
0.240 0.240 0.481
0.258 0.258 0.816
0.707 0.224 0.739
0.775 0.290 0.928
0.742 0.742 0.184
0.260 0.260 0.148
0.237 0.237 0.349
0.763 0.763 0.651
0.706 0.217 0.412
0.999 0.999 0.669
0.001 0.001 0.331
0.000 0.000 0.500
0.000 0.000 0.000
0.653 0.653 0.255
0.650 0.650 0.923
0.350 0.350 0.077
0.344 0.344 0.413
0.656 0.656 0.587
0.347 0.347 0.745
0.999 0.999 0.838
0.001 0.001 0.162
```

Calculated volume = 396.6 Å³/cell
Space group = C2/m (12)
Energy above the lowest structure with this stoichiometry = 0.94 eV/f.u.
Formation enthalpy at 0 K = -2.321 eV per atom
E (MP2020) = -7.646 eV/atom

---

No. 6
A relaxed LiMnPO4 crystal. Source: the Materials Project, functional PBE+U.

```
LiMnPO4
1.0
-10.934 0.688 1.115
-0.577 -5.365 -2.348
0.652 -4.266 9.029
Mn P O Li
8 8 32 8
Direct
0.874 0.849 0.511
0.596 0.378 0.236
0.404 0.622 0.764
0.904 0.378 0.736
0.374 0.151 0.989
0.126 0.151 0.489
0.626 0.849 0.011
0.096 0.622 0.264
0.108 0.129 0.157
0.392 0.129 0.657
0.608 0.871 0.343
0.856 0.373 0.405
0.892 0.871 0.843
0.144 0.627 0.595
0.356 0.627 0.095
0.644 0.373 0.905
0.061 0.838 0.571
0.530 0.649 0.357
0.777 0.329 0.281
0.567 0.591 0.876
0.723 0.329 0.781
0.192 0.144 0.284
0.970 0.649 0.857
0.933 0.591 0.376
0.223 0.671 0.719
0.218 0.584 0.466
0.782 0.416 0.534
0.308 0.144 0.784
0.479 0.921 0.671
0.686 0.893 0.473
0.470 0.351 0.643
0.808 0.856 0.716
0.030 0.351 0.143
0.439 0.838 0.071
0.277 0.671 0.219
0.021 0.921 0.171
0.433 0.409 0.124
0.979 0.079 0.829
0.692 0.856 0.216
0.186 0.107 0.027
0.067 0.409 0.624
0.521 0.079 0.329
0.314 0.107 0.527
0.282 0.584 0.966
0.718 0.416 0.034
0.561 0.162 0.929
0.814 0.893 0.973
0.939 0.162 0.429
0.653 0.616 0.605
0.347 0.384 0.395
0.153 0.384 0.895
0.847 0.616 0.105
0.656 0.112 0.638
0.844 0.112 0.138
0.344 0.888 0.362
0.156 0.888 0.862
```

Calculated volume = 648.3 Å³/cell
Space group = P2_1/c (14)
Energy above the lowest structure with this stoichiometry = 0.44 eV/f.u.
Formation enthalpy at 0 K = -2.571 eV per atom
E (MP2020) = -7.753 eV/atom

---

No. 7
A relaxed LiMnPO4 crystal. Source: the Materials Project, functional PBE+U.

```
LiMnPO4
1.0
0.000 0.001 4.825
7.710 0.000 0.000
0.000 8.668 0.001
O P Mn Li
16 4 4 4
Direct
0.705 0.756 0.798
0.131 0.587 0.049
0.729 0.260 0.333
0.729 0.760 0.167
0.662 0.088 0.947
0.205 0.744 0.298
0.229 0.740 0.667
0.131 0.087 0.451
0.631 0.413 0.951
0.662 0.588 0.552
0.229 0.240 0.833
0.162 0.412 0.447
0.631 0.913 0.549
0.705 0.256 0.702
0.162 0.912 0.052
0.205 0.244 0.202
0.050 0.755 0.141
0.550 0.245 0.859
0.550 0.745 0.641
0.050 0.255 0.359
0.477 0.471 0.178
0.477 0.971 0.322
0.977 0.029 0.678
0.977 0.529 0.822
0.537 0.359 0.524
0.537 0.859 0.976
0.037 0.141 0.024
0.037 0.641 0.476
```

Largest piezoelectric modulus = 1.81 C/m2
Calculated volume = 322.4 Å³/cell
Space group = Pna2_1 (33)
Energy above the lowest structure with this stoichiometry = 0.53 eV/f.u.
Formation enthalpy at 0 K = -2.558 eV per atom
E (MP2020) = -7.741 eV/atom

---

What is the energy above the lowest structure with this stoichiometry in the first record? 0.00 eV/f.u.